The following is a r2SCAN calculation of a relaxed structure of Ho2GaAg, from Materials Project.

Values from the calculation:
Space group: Fm-3m (225)
DFT formation energy in eV/f.u.: -2.1

a = 5.052 Å, b = 5.052 Å, c = 5.052 Å
α = 60.00°, β = 60.00°, γ = 60.00°
Sites, in units of the cell vectors:
Ho (0.250, 0.250, 0.250)
Ho (0.750, 0.750, 0.750)
Ga (0.000, 0.000, 0.000)
Ag (0.500, 0.500, 0.500)



The following is a r2SCAN calculation of a relaxed structure of HfZrRu2, from Materials Project.

Values from the calculation:
Space group: Fm-3m (225)
DFT formation energy in eV/f.u.: -3.3

a = 4.587 Å, b = 4.587 Å, c = 4.587 Å
α = 60.00°, β = 60.00°, γ = 60.00°
Sites, in units of the cell vectors:
Hf (0.500, 0.500, 0.500)
Zr (0.000, 0.000, 0.000)
Ru (0.250, 0.250, 0.250)
Ru (0.750, 0.750, 0.750)



The following is a r2SCAN calculation of a relaxed structure of Zr6Si7Ni16, from Materials Project.

Values from the calculation:
Space group: Fm-3m (225)
DFT formation energy in eV/f.u.: -22.8

a = 8.051 Å, b = 8.051 Å, c = 8.051 Å
α = 60.00°, β = 60.00°, γ = 60.00°
Sites, in units of the cell vectors:
Zr (0.792, 0.208, 0.792)
Zr (0.792, 0.792, 0.208)
Zr (0.208, 0.792, 0.792)
Zr (0.208, 0.208, 0.792)
Zr (0.792, 0.208, 0.208)
Zr (0.208, 0.792, 0.208)
Si (0.000, 0.500, 0.000)
Si (0.500, 0.500, 0.500)
Si (0.500, 0.500, 0.000)
Si (0.500, 0.000, 0.500)
Si (0.000, 0.500, 0.500)
Si (0.000, 0.000, 0.500)
Si (0.500, 0.000, 0.000)
Ni (0.169, 0.169, 0.169)
Ni (0.619, 0.618, 0.144)
Ni (0.381, 0.382, 0.382)
Ni (0.169, 0.492, 0.169)
Ni (0.169, 0.169, 0.492)
Ni (0.144, 0.619, 0.619)
Ni (0.619, 0.144, 0.619)
Ni (0.831, 0.831, 0.831)
Ni (0.855, 0.382, 0.382)
Ni (0.382, 0.382, 0.855)
Ni (0.382, 0.855, 0.382)
Ni (0.508, 0.831, 0.831)
Ni (0.619, 0.619, 0.619)
Ni (0.831, 0.831, 0.508)
Ni (0.492, 0.169, 0.169)
Ni (0.831, 0.508, 0.831)



The following is a r2SCAN calculation of a relaxed structure of Mg4FeO5, from Materials Project.

Values from the calculation:
Space group: P-1 (2)
Offset from the most stable computed form in eV per atom: 0.0139
DFT formation energy in eV/f.u.: -26.3

a = 5.957 Å, b = 8.978 Å, c = 7.333 Å
α = 105.83°, β = 89.33°, γ = 89.75°
Sites, in units of the cell vectors:
Mg (0.254, 0.701, 0.902)
Mg (0.000, 0.203, 0.406)
Mg (0.756, 0.702, 0.902)
Mg (0.500, 0.201, 0.403)
Mg (0.746, 0.299, 0.098)
Mg (0.500, 0.799, 0.597)
Mg (0.244, 0.298, 0.098)
Mg (0.001, 0.797, 0.594)
Mg (0.497, 0.400, 0.800)
Mg (0.249, 0.904, 0.299)
Mg (0.997, 0.400, 0.800)
Mg (0.753, 0.902, 0.301)
Mg (0.503, 0.600, 0.200)
Mg (0.247, 0.098, 0.699)
Mg (0.003, 0.600, 0.200)
Mg (0.751, 0.096, 0.701)
Fe (0.500, 0.000, 0.000)
Fe (0.251, 0.500, 0.500)
Fe (0.749, 0.500, 0.500)
Fe (0.000, 0.000, 0.000)
O (0.749, 0.500, 0.000)
O (0.500, 0.000, 0.500)
O (0.251, 0.500, 0.000)
O (0.000, 0.000, 0.500)
O (0.498, 0.197, 0.901)
O (0.252, 0.704, 0.395)
O (0.998, 0.204, 0.898)
O (0.751, 0.704, 0.394)
O (0.502, 0.803, 0.099)
O (0.249, 0.296, 0.606)
O (0.002, 0.796, 0.102)
O (0.748, 0.296, 0.605)
O (0.510, 0.602, 0.706)
O (0.249, 0.107, 0.212)
O (0.011, 0.601, 0.705)
O (0.756, 0.104, 0.207)
O (0.490, 0.398, 0.294)
O (0.244, 0.896, 0.793)
O (0.989, 0.399, 0.295)
O (0.751, 0.893, 0.788)



The following is a r2SCAN calculation of a relaxed structure of SiO2, from Materials Project.

Values from the calculation:
Space group: Pmma (51)
DFT formation energy in eV/f.u.: -9.1

a = 9.778 Å, b = 7.545 Å, c = 9.441 Å
α = 90.00°, β = 90.00°, γ = 90.00°
Sites, in units of the cell vectors:
Si (0.091, 0.205, 0.366)
Si (0.591, 0.795, 0.634)
Si (0.909, 0.205, 0.634)
Si (0.409, 0.795, 0.366)
Si (0.909, 0.795, 0.634)
Si (0.409, 0.205, 0.366)
Si (0.091, 0.795, 0.366)
Si (0.591, 0.205, 0.634)
Si (0.090, 0.500, 0.141)
Si (0.590, 0.500, 0.859)
Si (0.910, 0.500, 0.859)
Si (0.410, 0.500, 0.141)
O (0.053, 0.325, 0.231)
O (0.553, 0.675, 0.769)
O (0.947, 0.325, 0.769)
O (0.447, 0.675, 0.231)
O (0.947, 0.675, 0.769)
O (0.447, 0.325, 0.231)
O (0.053, 0.675, 0.231)
O (0.553, 0.325, 0.769)
O (0.250, 0.230, 0.407)
O (0.750, 0.770, 0.593)
O (0.750, 0.230, 0.593)
O (0.250, 0.770, 0.407)
O (0.060, 0.000, 0.328)
O (0.560, 0.000, 0.672)
O (0.940, 0.000, 0.672)
O (0.440, 0.000, 0.328)
O (0.000, 0.266, 0.500)
O (0.500, 0.734, 0.500)
O (0.000, 0.734, 0.500)
O (0.500, 0.266, 0.500)
O (0.000, 0.500, 0.000)
O (0.500, 0.500, 0.000)
O (0.250, 0.500, 0.101)
O (0.750, 0.500, 0.899)



The following is a r2SCAN calculation of a relaxed structure of Pr5Sn10Rh4, from Materials Project.

Values from the calculation:
Space group: P4/mbm (127)
DFT formation energy in eV/f.u.: -15.1

a = 14.165 Å, b = 14.165 Å, c = 4.648 Å
α = 90.00°, β = 90.00°, γ = 90.00°
Sites, in units of the cell vectors:
Pr (0.500, 0.500, 0.000)
Pr (0.000, 0.000, 0.000)
Pr (0.678, 0.178, 0.500)
Pr (0.322, 0.822, 0.500)
Pr (0.178, 0.322, 0.500)
Pr (0.822, 0.678, 0.500)
Pr (0.891, 0.391, 0.500)
Pr (0.109, 0.609, 0.500)
Pr (0.391, 0.109, 0.500)
Pr (0.609, 0.891, 0.500)
Sn (0.570, 0.070, 0.000)
Sn (0.430, 0.930, 0.000)
Sn (0.070, 0.430, 0.000)
Sn (0.930, 0.570, 0.000)
Sn (0.654, 0.699, 0.000)
Sn (0.346, 0.301, 0.000)
Sn (0.154, 0.801, 0.000)
Sn (0.846, 0.199, 0.000)
Sn (0.301, 0.654, 0.000)
Sn (0.699, 0.346, 0.000)
Sn (0.199, 0.154, 0.000)
Sn (0.801, 0.846, 0.000)
Sn (0.664, 0.502, 0.500)
Sn (0.336, 0.498, 0.500)
Sn (0.164, 0.998, 0.500)
Sn (0.836, 0.002, 0.500)
Sn (0.498, 0.664, 0.500)
Sn (0.502, 0.336, 0.500)
Sn (0.002, 0.164, 0.500)
Sn (0.998, 0.836, 0.500)
Rh (0.745, 0.528, 0.000)
Rh (0.255, 0.472, 0.000)
Rh (0.245, 0.972, 0.000)
Rh (0.755, 0.028, 0.000)
Rh (0.472, 0.745, 0.000)
Rh (0.528, 0.255, 0.000)
Rh (0.028, 0.245, 0.000)
Rh (0.972, 0.755, 0.000)



The following is a r2SCAN calculation of a relaxed structure of Ce2ThS5, from Materials Project.

Values from the calculation:
Space group: Pnma (62)
DFT formation energy in eV/f.u.: -19.1

a = 7.601 Å, b = 8.308 Å, c = 12.102 Å
α = 90.00°, β = 90.00°, γ = 90.00°
Sites, in units of the cell vectors:
Ce (0.521, 0.500, 0.323)
Ce (0.979, 0.000, 0.823)
Ce (0.479, 0.000, 0.677)
Ce (0.021, 0.500, 0.177)
Ce (0.479, 0.500, 0.677)
Ce (0.021, 0.000, 0.177)
Ce (0.521, 0.000, 0.323)
Ce (0.979, 0.500, 0.823)
Th (0.074, 0.750, 0.492)
Th (0.426, 0.750, 0.992)
Th (0.926, 0.250, 0.508)
Th (0.574, 0.250, 0.008)
S (0.837, 0.959, 0.599)
S (0.663, 0.541, 0.099)
S (0.163, 0.459, 0.401)
S (0.337, 0.041, 0.901)
S (0.163, 0.041, 0.401)
S (0.337, 0.459, 0.901)
S (0.837, 0.541, 0.599)
S (0.663, 0.959, 0.099)
S (0.831, 0.750, 0.312)
S (0.669, 0.750, 0.812)
S (0.169, 0.250, 0.688)
S (0.331, 0.250, 0.188)
S (0.457, 0.750, 0.499)
S (0.043, 0.750, 0.999)
S (0.543, 0.250, 0.501)
S (0.957, 0.250, 0.001)
S (0.196, 0.750, 0.717)
S (0.304, 0.750, 0.217)
S (0.804, 0.250, 0.283)
S (0.696, 0.250, 0.783)



The following is a r2SCAN calculation of a relaxed structure of La3NbSb5, from Materials Project.

Values from the calculation:
Space group: P6_3/mcm (193)
DFT formation energy in eV/f.u.: -9.5

a = 9.593 Å, b = 9.593 Å, c = 6.343 Å
α = 90.00°, β = 90.00°, γ = 120.00°
Sites, in units of the cell vectors:
La (0.616, 0.000, 0.750)
La (0.384, 0.000, 0.250)
La (0.000, 0.616, 0.750)
La (0.000, 0.384, 0.250)
La (0.384, 0.384, 0.750)
La (0.616, 0.616, 0.250)
Nb (0.000, 0.000, 0.500)
Nb (0.000, 0.000, 0.000)
Sb (0.254, 0.000, 0.750)
Sb (0.746, 0.000, 0.250)
Sb (0.000, 0.254, 0.750)
Sb (0.000, 0.746, 0.250)
Sb (0.746, 0.746, 0.750)
Sb (0.254, 0.254, 0.250)
Sb (0.333, 0.667, 0.500)
Sb (0.667, 0.333, 0.500)
Sb (0.667, 0.333, 0.000)
Sb (0.333, 0.667, 0.000)